Density functional theory data (GGA-PBE) for a relaxed K3Ga2P3O12 crystal.

Summary:
Symmetry ... Pna2_1
Calculated total energy ... -517.66 eV per cell
Formation enthalpy at 0 K ... -254.03 kJ/mol of atoms

Structure (POSCAR):
```
K3Ga2P3O12
1.0
-5.755 6.152 1.479
-6.566 -5.755 -1.614
-0.322 -4.316 16.696
K Ga P O
12 8 12 48
Cartesian
-6.622 -1.735 10.913
-4.245 -4.082 5.192
-0.895 -0.296 2.486
-9.973 -5.520 13.619
-1.059 -3.181 15.207
-10.126 -2.296 0.979
-6.939 -0.720 6.821
-4.245 -4.757 9.365
-3.620 -0.716 8.823
-10.784 -1.320 8.191
-7.346 3.633 0.966
-7.058 -5.669 16.048
-6.495 2.123 12.336
-8.323 -3.717 4.785
-4.988 -0.136 2.872
-9.830 -1.457 14.248
-5.005 -2.994 14.100
-9.676 1.254 2.985
-6.451 3.353 6.804
-8.230 -5.093 10.281
-2.885 -2.186 12.090
-10.191 -1.270 4.582
-6.884 1.924 4.167
-6.192 -5.379 12.506
-6.806 -0.334 14.278
-6.368 -3.018 2.420
-3.126 -0.689 5.348
-10.048 -2.662 11.349
-6.870 1.644 9.250
-7.106 -4.138 7.654
-3.663 0.874 0.204
-10.313 -3.368 16.700
-9.359 -4.341 16.026
-2.654 -0.251 0.374
-6.080 -5.049 6.997
-5.933 0.457 9.402
-9.244 1.654 1.249
-5.028 -3.830 15.731
-8.187 -5.034 8.449
-6.086 2.857 8.531
-11.311 0.354 0.476
-3.395 -2.068 16.616
-6.539 -3.079 8.589
-8.167 1.365 8.502
-10.640 -2.128 15.753
-4.612 0.998 1.478
-8.008 -3.403 6.566
-7.243 2.273 10.666
-11.227 -3.427 10.652
-2.112 0.252 6.088
-5.337 -1.846 2.265
-4.707 -5.887 12.563
-8.002 -1.329 14.475
-3.499 0.004 3.983
-6.797 -3.070 3.935
-7.068 0.457 12.940
-8.796 -3.598 11.218
-2.308 -1.966 4.948
-5.553 -4.336 2.180
-5.551 -1.227 13.985
-9.767 -1.314 10.740
-4.315 -1.066 6.191
-7.523 -2.928 1.457
-6.559 0.548 15.474
-3.282 -2.901 13.433
-9.774 -0.576 3.235
-6.523 1.874 5.696
-6.533 -5.351 10.972
-2.844 -0.651 12.422
-11.757 -1.173 4.643
-8.448 2.052 4.104
-6.153 -3.877 12.961
-3.824 -2.481 10.945
-9.550 -0.656 5.804
-6.205 3.046 3.419
-7.168 -6.184 13.330
-1.395 -2.617 11.848
-9.858 -2.787 4.356
-6.546 0.483 3.641
-10.366 -2.617 12.892
```